Entry 1:
Na2CuF4: relaxed, meta-GGA r2SCAN. Values from VASP.

Output
total energy = -96.15 eV for the cell shown
volume = 82.8 Å³/f.u.
space-group type = No. 14

```
&SYSTEM
  ibrav = 0, nat = 14, ntyp = 3
/
ATOMIC_SPECIES
Cu 63.55 Cu.upf
F 19.00 F.upf
Na 22.99 Na.upf
ATOMIC_POSITIONS crystal
Cu 0.000 0.500 0.500
Cu 0.000 0.000 0.000
F 0.988 0.375 0.693
F 0.426 0.737 0.550
F 0.012 0.125 0.193
F 0.574 0.263 0.450
F 0.426 0.237 0.950
F 0.574 0.763 0.050
F 0.988 0.875 0.807
F 0.012 0.625 0.307
Na 0.516 0.417 0.182
Na 0.484 0.083 0.682
Na 0.516 0.917 0.318
Na 0.484 0.583 0.818
CELL_PARAMETERS angstrom
-1.374 2.490 1.574
-2.002 -3.676 3.658
7.565 0.952 5.097
```


Entry 2:
Cu6OF11: relaxed, meta-GGA r2SCAN. Values from VASP.

Output
total energy = -135.53 eV for the cell shown
volume = 198.7 Å³/f.u.
space-group type = No. 1
offset from the most stable computed form = 0.06 eV per formula unit

```
&SYSTEM
  ibrav = 0, nat = 18, ntyp = 3
/
ATOMIC_SPECIES
F 19.00 F.upf
Cu 63.55 Cu.upf
O 16.00 O.upf
ATOMIC_POSITIONS crystal
F 0.127 0.420 0.427
F 0.814 0.044 0.603
F 0.519 0.310 0.719
F 0.147 0.349 0.957
F 0.868 0.587 0.556
F 0.493 0.697 0.317
F 0.531 0.261 0.233
F 0.463 0.746 0.774
F 0.180 0.968 0.384
F 0.789 0.071 0.101
F 0.217 0.916 0.909
Cu 0.827 0.357 0.305
Cu 0.675 0.670 0.683
Cu 0.502 0.997 0.010
Cu 0.330 0.335 0.340
Cu 0.163 0.659 0.672
Cu 0.992 0.980 0.002
O 0.862 0.634 0.008
CELL_PARAMETERS angstrom
2.684 -4.546 -4.697
3.231 4.526 -0.019
3.708 0.075 4.499
```


Entry 3:
Cu3OF5: relaxed, meta-GGA r2SCAN. Values from VASP.

Output
total energy = -135.97 eV for the cell shown
volume = 98.9 Å³/f.u.
space-group type = No. 2

```
&SYSTEM
  ibrav = 0, nat = 18, ntyp = 3
/
ATOMIC_SPECIES
F 19.00 F.upf
Cu 63.55 Cu.upf
O 16.00 O.upf
ATOMIC_POSITIONS crystal
F 0.019 0.719 0.323
F 0.353 0.574 0.553
F 0.647 0.426 0.447
F 0.273 0.127 0.084
F 0.006 0.233 0.205
F 0.981 0.281 0.677
F 0.348 0.081 0.617
F 0.727 0.873 0.916
F 0.994 0.767 0.795
F 0.652 0.919 0.383
Cu 0.000 0.000 0.000
Cu 0.337 0.377 0.306
Cu 0.820 0.323 0.321
Cu 0.180 0.677 0.679
Cu 0.663 0.623 0.694
Cu 0.500 0.000 0.000
O 0.652 0.331 0.987
O 0.348 0.669 0.013
CELL_PARAMETERS angstrom
6.521 -2.919 -2.411
1.273 4.684 2.660
-0.302 -0.820 5.316
```


Entry 4:
Cu6OF11: relaxed, meta-GGA r2SCAN. Values from VASP.

Output
total energy = -135.50 eV for the cell shown
volume = 199.0 Å³/f.u.
space-group type = No. 1
offset from the most stable computed form = 0.09 eV per formula unit

```
&SYSTEM
  ibrav = 0, nat = 18, ntyp = 3
/
ATOMIC_SPECIES
F 19.00 F.upf
Cu 63.55 Cu.upf
O 16.00 O.upf
ATOMIC_POSITIONS crystal
F 0.979 0.383 0.839
F 0.216 0.242 0.464
F 0.892 0.931 0.793
F 0.100 0.074 0.210
F 0.032 0.619 0.164
F 0.440 0.413 0.873
F 0.640 0.057 0.167
F 0.357 0.953 0.833
F 0.312 0.718 0.503
F 0.680 0.275 0.498
F 0.571 0.599 0.125
Cu 0.671 0.680 0.341
Cu 0.326 0.334 0.666
Cu 0.666 0.669 0.821
Cu 0.999 0.004 0.998
Cu 0.334 0.338 0.170
Cu 0.981 0.985 0.498
O 0.805 0.725 0.539
CELL_PARAMETERS angstrom
5.547 -0.052 0.027
2.082 5.452 0.021
2.013 0.979 6.570
```


Entry 5:
Cu6OF11: relaxed, meta-GGA r2SCAN. Values from VASP.

Output
total energy = -135.51 eV for the cell shown
volume = 199.8 Å³/f.u.
space-group type = No. 1
offset from the most stable computed form = 0.07 eV per formula unit

```
&SYSTEM
  ibrav = 0, nat = 18, ntyp = 3
/
ATOMIC_SPECIES
F 19.00 F.upf
Cu 63.55 Cu.upf
O 16.00 O.upf
ATOMIC_POSITIONS crystal
F 0.323 0.324 0.285
F 0.512 0.813 0.224
F 0.664 0.316 0.302
F 0.159 0.180 0.766
F 0.344 0.695 0.718
F 0.821 0.187 0.783
F 0.839 0.804 0.219
F 0.174 0.818 0.211
F 0.986 0.294 0.264
F 0.681 0.692 0.723
F 0.492 0.199 0.792
Cu 0.843 0.510 0.508
Cu 0.998 0.982 0.964
Cu 0.502 0.505 0.506
Cu 0.331 0.012 0.001
Cu 0.161 0.513 0.501
Cu 0.669 0.003 0.012
O 0.001 0.652 0.722
CELL_PARAMETERS angstrom
9.697 -0.022 -0.135
-0.010 4.552 -0.047
0.540 -0.050 4.519
```


Entry 6:
Cu6OF11: relaxed, meta-GGA r2SCAN. Values from VASP.

Output
total energy = -135.53 eV for the cell shown
volume = 199.1 Å³/f.u.
space-group type = No. 1
offset from the most stable computed form = 0.06 eV per formula unit

```
&SYSTEM
  ibrav = 0, nat = 18, ntyp = 3
/
ATOMIC_SPECIES
F 19.00 F.upf
Cu 63.55 Cu.upf
O 16.00 O.upf
ATOMIC_POSITIONS crystal
F 0.957 0.655 0.623
F 0.039 0.013 0.717
F 0.019 0.674 0.042
F 0.534 0.810 0.422
F 0.021 0.345 0.373
F 0.994 0.989 0.292
F 0.535 0.137 0.084
F 0.467 0.533 0.251
F 0.497 0.462 0.744
F 0.475 0.861 0.918
F 0.974 0.323 0.957
Cu 0.518 0.012 0.512
Cu 0.500 0.335 0.171
Cu 0.984 0.317 0.660
Cu 0.999 0.672 0.336
Cu 0.007 0.999 0.004
Cu 0.485 0.662 0.830
O 0.496 0.201 0.564
CELL_PARAMETERS angstrom
-3.203 -0.017 0.053
-0.490 9.089 -4.446
-0.552 -4.612 -4.570
```